Record 1
# LiMg30BO31

LiMg30BO31 after structural relaxation (PBE, the Materials Project database).

Geometry as POSCAR:
```
LiMg30BO31
1.0
8.3942 0.0000 0.0000
0.0000 8.5967 0.0000
0.0000 0.0000 8.5260
Li Mg B O
1 30 1 31
Direct
0.0000 0.0000 0.0000
0.0000 0.0000 0.5021
0.0000 0.2443 0.7568
0.0000 0.2465 0.2473
0.0000 0.5000 0.0011
0.0000 0.5000 0.5032
0.0000 0.7535 0.2473
0.0000 0.7557 0.7568
0.2471 0.0000 0.2513
0.2479 0.5000 0.2521
0.2499 0.2497 0.5014
0.2501 0.5000 0.7520
0.2499 0.7503 0.5014
0.2560 0.2537 0.0023
0.2560 0.7463 0.0023
0.2593 0.0000 0.7496
0.5000 0.0000 0.5005
0.5000 0.2427 0.7569
0.5000 0.2602 0.2486
0.5000 0.5000 0.5038
0.5000 0.5000 0.9992
0.5000 0.7398 0.2486
0.5000 0.7573 0.7569
0.7407 0.0000 0.7496
0.7440 0.2537 0.0023
0.7440 0.7463 0.0023
0.7501 0.2497 0.5014
0.7499 0.5000 0.7520
0.7501 0.7503 0.5014
0.7521 0.5000 0.2521
0.7529 0.0000 0.2513
0.5000 0.0000 0.0727
0.0000 0.0000 0.2470
0.0000 0.0000 0.7540
0.0000 0.2457 0.0022
0.0000 0.2489 0.5017
0.0000 0.5000 0.2524
0.0000 0.5000 0.7519
0.0000 0.7511 0.5017
0.0000 0.7543 0.0022
0.2466 0.5000 0.0021
0.2494 0.5000 0.5021
0.2505 0.0000 0.4950
0.2507 0.2461 0.7543
0.2506 0.2474 0.2500
0.2506 0.7526 0.2500
0.2507 0.7539 0.7543
0.3370 0.0000 0.0139
0.5000 0.0000 0.7297
0.5000 0.2492 0.4960
0.5000 0.2691 0.0044
0.5000 0.5000 0.2558
0.5000 0.5000 0.7484
0.5000 0.7309 0.0044
0.5000 0.7508 0.4960
0.6630 0.0000 0.0139
0.7495 0.0000 0.4950
0.7493 0.2461 0.7543
0.7494 0.2474 0.2500
0.7494 0.7526 0.2500
0.7493 0.7539 0.7543
0.7506 0.5000 0.5021
0.7534 0.5000 0.0021
```

## Properties
- Formation enthalpy at 0 K: -2.917 eV per atom
- Volume: 9.77 Å³/atom
- Energy with MP2020 corrections: -393.8 eV for the cell shown
- Energy relative to the lowest polymorph listed for this composition: 0.00 eV/f.u.
- Crystal system: orthorhombic
- Total magnetic moment: 0.001 μB/f.u.


Record 2
# LiMg30BO31

LiMg30BO31 after structural relaxation (PBE, the Materials Project database).

Geometry as POSCAR:
```
LiMg30BO31
1.0
8.3956 0.0000 0.0000
0.0000 8.6311 0.0000
0.0000 0.0000 8.5453
Li Mg B O
1 30 1 31
Direct
0.0000 0.0000 0.0000
0.0000 0.0000 0.4965
0.0000 0.2412 0.7528
0.0000 0.2465 0.2434
0.0000 0.5000 0.0001
0.0000 0.5000 0.4874
0.0000 0.7535 0.2434
0.0000 0.7588 0.7528
0.2450 0.5000 0.7459
0.2462 0.0000 0.7513
0.2481 0.0000 0.2443
0.2500 0.2490 0.4985
0.2500 0.7510 0.4985
0.2556 0.2411 0.9973
0.2556 0.7589 0.9973
0.2633 0.5000 0.2504
0.5000 0.0000 0.9999
0.5000 0.0000 0.4959
0.5000 0.2376 0.7499
0.5000 0.2558 0.2431
0.5000 0.5000 0.5030
0.5000 0.7442 0.2431
0.5000 0.7624 0.7499
0.7367 0.5000 0.2504
0.7444 0.2411 0.9973
0.7444 0.7589 0.9973
0.7500 0.2490 0.4985
0.7500 0.7510 0.4985
0.7519 0.0000 0.2443
0.7538 0.0000 0.7513
0.7550 0.5000 0.7459
0.5000 0.5000 0.9387
0.0000 0.0000 0.2542
0.0000 0.0000 0.7411
0.0000 0.2538 0.4979
0.0000 0.2671 0.9986
0.0000 0.5000 0.2399
0.0000 0.7329 0.9986
0.0000 0.7462 0.4979
0.2483 0.5000 0.5047
0.2493 0.2522 0.7498
0.2493 0.7478 0.7498
0.2504 0.0000 0.4979
0.2495 0.0000 0.9976
0.2506 0.2542 0.2457
0.2506 0.7458 0.2457
0.3360 0.5000 0.9942
0.5000 0.0000 0.2519
0.5000 0.0000 0.7432
0.5000 0.2324 0.9933
0.5000 0.2524 0.5058
0.5000 0.5000 0.2749
0.5000 0.5000 0.7672
0.5000 0.7476 0.5058
0.5000 0.7676 0.9933
0.6640 0.5000 0.9942
0.7494 0.2542 0.2457
0.7494 0.7458 0.2457
0.7496 0.0000 0.4979
0.7505 0.0000 0.9976
0.7507 0.2522 0.7498
0.7507 0.7478 0.7498
0.7517 0.5000 0.5047
```

## Properties
- Formation enthalpy at 0 K: -2.905 eV per atom
- Volume: 9.83 Å³/atom
- Energy with MP2020 corrections: -393.0 eV for the cell shown
- Energy relative to the lowest polymorph listed for this composition: 0.78 eV/f.u.
- Crystal system: orthorhombic
- Total magnetic moment: 0.004 μB/f.u.


Record 3
# Li3BN2

Li3BN2 after structural relaxation (PBE, the Materials Project database).

Geometry as POSCAR:
```
Li3BN2
1.0
5.1487 0.0000 0.0000
0.0000 7.0960 0.0000
-2.6253 0.0000 6.2612
Li B N
12 4 8
Direct
0.2416 0.2082 0.3136
0.2416 0.2918 0.8136
0.2506 0.5124 0.1245
0.2507 0.5183 0.5022
0.2507 0.9817 0.0022
0.2506 0.9876 0.6245
0.7494 0.0124 0.3755
0.7493 0.0183 0.9978
0.7493 0.4817 0.4978
0.7494 0.4876 0.8755
0.7584 0.7082 0.1864
0.7584 0.7918 0.6864
0.2851 0.6798 0.8237
0.2851 0.8202 0.3237
0.7149 0.1798 0.6763
0.7149 0.3202 0.1763
0.0652 0.5619 0.7805
0.0652 0.9381 0.2805
0.4936 0.2045 0.1338
0.4936 0.2955 0.6338
0.5064 0.7045 0.3662
0.5064 0.7955 0.8662
0.9348 0.0619 0.7195
0.9348 0.4381 0.2195
```

## Properties
- Formation enthalpy at 0 K: -0.962 eV per atom
- Volume: 9.53 Å³/atom
- Energy with MP2020 corrections: -139.4 eV for the cell shown
- Energy relative to the lowest polymorph listed for this composition: 0.00 eV/f.u.
- Crystal system: monoclinic